VASP calculation (PBE) on Sr2CaSn5 after structural relaxation.

**Energy of formation from the pure elements**: -0.5466 eV per atom
**Electronic total energy**: -59.61 eV per cell

Unit cell a=6.798 b=6.798 c=10.871 alpha=90.00 beta=90.00 gamma=78.45
Positions (direct):
1 Sr 0.203 0.203 0.000
2 Sr 0.203 0.203 0.500
3 Sr 0.797 0.797 0.000
4 Sr 0.797 0.797 0.500
5 Ca 0.358 0.642 0.750
6 Ca 0.642 0.358 0.250
7 Sn 0.035 0.965 0.250
8 Sn 0.085 0.507 0.250
9 Sn 0.314 0.686 0.050
10 Sn 0.314 0.686 0.450
11 Sn 0.493 0.915 0.250
12 Sn 0.507 0.085 0.750
13 Sn 0.686 0.314 0.550
14 Sn 0.686 0.314 0.950
15 Sn 0.915 0.493 0.750
16 Sn 0.965 0.035 0.750